# 1
A relaxed structure of TiAl, computed with PBE.

abc: 2.867 2.867 4.678
angles: 90.00 90.00 120.00
Element x y z (fractional)
Al  0.333  0.667  0.500
Ti  0.000  0.000  0.000

Computed properties:
ΔE_f: -0.503 eV per formula unit
Raw total energy: -12.14 eV for the cell shown

=====

# 2
A relaxed structure of Ti3Al, computed with PBE.

abc: 2.928 2.928 9.226
angles: 90.00 90.00 120.00
Element x y z (fractional)
Ti  0.667  0.333  0.000
Ti  0.333  0.667  0.751
Ti  0.333  0.667  0.249
Al  0.667  0.333  0.500

Computed properties:
ΔE_f: -0.502 eV per formula unit
Raw total energy: -27.93 eV for the cell shown